No. 1
NbAlZn | PBE | optimized geometry

The structure in CIF format:
```
data_NbAlZn
_chemical_formula_sum 'Nb8 Al8 Zn8'
_cell_length_a 8.345
_cell_length_b 5.112
_cell_length_c 8.729
_cell_angle_alpha 90.00
_cell_angle_beta 90.00
_cell_angle_gamma 90.00
_space_group_name_H-M_alt 'A m m 2'
_space_group_IT_number 38
_space_group_name_Hall 'A 2 -2'
loop_
_atom_site_label
_atom_site_type_symbol
_atom_site_fract_x
_atom_site_fract_y
_atom_site_fract_z
_atom_site_occupancy
Nb1 Nb 0.183 0.000 0.000 1
Nb2 Nb 0.311 0.000 0.330 1
Al1 Al 0.000 0.243 0.254 1
Al2 Al 0.258 0.000 0.663 1
Zn1 Zn 0.000 0.000 0.498 1
Zn2 Zn 0.500 0.000 0.838 1
Zn3 Zn 0.500 0.240 0.079 1
```

Properties
DFT total energy (eV/atom): -5.35
Energy of formation (meV/atom): -315



No. 2
Zr4NbAl3 | PBE | optimized geometry

The structure in CIF format:
```
data_Zr4NbAl3
_chemical_formula_sum 'Zr16 Nb4 Al12'
_cell_length_a 15.474
_cell_length_b 5.332
_cell_length_c 10.921
_cell_angle_alpha 90.00
_cell_angle_beta 134.81
_cell_angle_gamma 90.00
_space_group_name_H-M_alt 'C 1 2/m 1'
_space_group_IT_number 12
_space_group_name_Hall '-C 2y'
loop_
_atom_site_label
_atom_site_type_symbol
_atom_site_fract_x
_atom_site_fract_y
_atom_site_fract_z
_atom_site_occupancy
Zr1 Zr 0.000 0.250 0.000 1
Zr2 Zr 0.077 0.000 0.357 1
Zr3 Zr 0.081 0.500 0.803 1
Zr4 Zr 0.219 0.500 0.645 1
Nb1 Nb 0.213 0.000 0.790 1
Al1 Al 0.000 0.248 0.500 1
Al2 Al 0.166 0.000 0.999 1
Al3 Al 0.167 0.500 0.327 1
```

Properties
DFT total energy (eV/atom): -7.27
Total moment (μB/cell): 2.54
Energy of formation (meV/atom): -327



No. 3
NdAl4 | PBE | optimized geometry

The structure in CIF format:
```
data_NdAl4
_chemical_formula_sum 'Nd2 Al8'
_cell_length_a 4.272
_cell_length_b 4.272
_cell_length_c 11.375
_cell_angle_alpha 90.00
_cell_angle_beta 90.00
_cell_angle_gamma 90.00
_space_group_name_H-M_alt 'I 4/m m m'
_space_group_IT_number 139
_space_group_name_Hall '-I 4 2'
loop_
_atom_site_label
_atom_site_type_symbol
_atom_site_fract_x
_atom_site_fract_y
_atom_site_fract_z
_atom_site_occupancy
Nd1 Nd 0.000 0.000 0.000 1
Al1 Al 0.000 0.000 0.389 1
Al2 Al 0.000 0.500 0.250 1
```

Properties
DFT total energy (eV/atom): -4.25
Energy of formation (meV/atom): -303
Distance to the lowest polymorph of the same formula (eV per formula unit): 0.00